Record 1
This record from the Materials Project describes an optimized crystal structure of Li2CrPHO5. The functional is GGA+U.

energy with MP2020 corrections: -7.030 eV per atom
ΔH_f (0 K): -2.328 eV/atom
space-group type: P-1, No. 2
raw total energy: -6.49 eV per atom

a b c (Å): 5.6222 5.5471 13.4307
angles (deg): 85.68 82.01 89.04
Sites, in units of the cell vectors:
O  0.0539  0.8183  0.1363
O  0.9441  0.4722  0.3126
O  0.4442  0.9720  0.8126
O  0.5559  0.0279  0.1874
Li  0.5643  0.1987  0.9036
Li  0.9362  0.3010  0.5964
Li  0.1211  0.4732  0.0916
O  0.9462  0.1818  0.8637
O  0.9858  0.9907  0.6740
P  0.5653  0.2651  0.1176
Li  0.3792  0.0268  0.4083
H  0.6098  0.4258  0.6830
Li  0.8790  0.5269  0.9085
Li  0.0639  0.6988  0.4036
Cr  0.9997  0.0000  0.0001
H  0.1102  0.9259  0.1833
P  0.0654  0.7652  0.6176
O  0.5529  0.3180  0.6363
O  0.1104  0.2687  0.4604
O  0.0144  0.0093  0.3260
P  0.9346  0.2347  0.3824
H  0.3903  0.5744  0.3168
O  0.8894  0.7314  0.5396
Cr  0.4997  0.4997  0.5000
Li  0.4357  0.8013  0.0964
O  0.5142  0.5093  0.8261
H  0.8901  0.0741  0.8168
O  0.3298  0.8014  0.5611
O  0.0561  0.5277  0.6873
O  0.8299  0.3014  0.0613
Cr  0.2503  0.2504  0.7504
O  0.4855  0.4907  0.1740
Li  0.6207  0.9731  0.5916
P  0.4346  0.7348  0.8825
Cr  0.7503  0.7497  0.2498
O  0.6701  0.1986  0.4387
O  0.4471  0.6819  0.3636
O  0.3896  0.2313  0.0395
O  0.1700  0.6988  0.9388
O  0.6104  0.7686  0.9605

---

Record 2
This record from the Materials Project describes an optimized crystal structure of LiVCrP2H2O10. The functional is GGA+U.

energy with MP2020 corrections: -7.563 eV per atom
ΔH_f (0 K): -2.402 eV/atom
space-group type: P1, No. 1
raw total energy: -6.94 eV per atom
distance to the lowest polymorph of the same formula: 3.1 meV per atom

a b c (Å): 5.2035 7.3633 14.5160
angles (deg): 91.84 93.85 105.51
Sites, in units of the cell vectors:
H  0.7841  0.4311  0.7689
O  0.9667  0.8622  0.7340
O  0.4022  0.1138  0.7720
O  0.4266  0.7978  0.7263
P  0.0734  0.4002  0.6250
O  0.7254  0.4512  0.1018
V  0.6612  0.6599  0.1655
Cr  0.3331  0.3335  0.3331
H  0.1011  0.7477  0.0947
Li  0.7413  0.9639  0.8134
O  0.0923  0.4643  0.3920
H  0.8979  0.2523  0.9052
P  0.9235  0.6046  0.3748
O  0.0311  0.1375  0.2646
P  0.5926  0.2647  0.0415
O  0.5921  0.3150  0.9374
Cr  0.6642  0.6641  0.6659
P  0.2564  0.9367  0.7083
O  0.2745  0.5486  0.8979
O  0.7621  0.1284  0.0586
V  0.0045  0.0059  0.5002
O  0.5746  0.2027  0.2747
O  0.2640  0.9845  0.6038
O  0.0190  0.1730  0.8915
H  0.4514  0.0996  0.4364
O  0.9798  0.8269  0.1081
P  0.7426  0.0618  0.2915
O  0.5951  0.8854  0.2278
O  0.6911  0.8174  0.9280
V  0.3378  0.3393  0.8335
O  0.9389  0.2145  0.5646
O  0.2990  0.1560  0.4370
Li  0.4071  0.6312  0.4799
O  0.3667  0.5108  0.2294
Li  0.2587  0.0353  0.1860
O  0.0763  0.3479  0.7288
O  0.6355  0.5288  0.4020
O  0.4073  0.6843  0.0623
O  0.6850  0.8381  0.5578
O  0.9279  0.6542  0.2707
O  0.3089  0.1824  0.0719
O  0.7383  0.0121  0.3958
H  0.2147  0.5674  0.2304
H  0.5635  0.9173  0.5712
P  0.4069  0.7348  0.9580
O  0.6317  0.4873  0.7696
O  0.9073  0.5393  0.6093
O  0.3563  0.4831  0.5937
O  0.0708  0.7813  0.4386
O  0.2379  0.8716  0.9414
Cr  0.9998  0.0001  0.9998

---

Record 3
This record from the Materials Project describes an optimized crystal structure of Li2VCrP2H2O10. The functional is GGA+U.

energy with MP2020 corrections: -7.445 eV per atom
ΔH_f (0 K): -2.465 eV/atom
space-group type: P-1, No. 2
raw total energy: -6.86 eV per atom
distance to the lowest polymorph of the same formula: 2.8 meV per atom

a b c (Å): 5.1745 10.6605 7.3653
angles (deg): 75.34 108.66 82.92
Sites, in units of the cell vectors:
P  0.4969  0.1811  0.0524
Li  0.0469  0.6972  0.1242
O  0.8678  0.8288  0.5124
O  0.7557  0.8730  0.0527
H  0.3300  0.0296  0.3133
O  0.6260  0.1019  0.2795
H  0.1709  0.4695  0.1865
O  0.8736  0.3982  0.2207
P  0.9976  0.6809  0.5521
O  0.3663  0.3289  0.0130
H  0.6697  0.9704  0.6868
O  0.6337  0.6710  0.9871
O  0.2846  0.8297  0.0517
P  0.5032  0.8188  0.9476
O  0.7840  0.3302  0.5521
O  0.2161  0.6699  0.4478
Li  0.5459  0.1978  0.6260
O  0.1851  0.9760  0.3023
O  0.1266  0.6017  0.7794
Cr  0.5001  0.4998  0.0001
V  0.5001  0.5000  0.5000
P  0.0026  0.3190  0.4480
H  0.8291  0.5306  0.8136
O  0.6851  0.4766  0.8023
O  0.7444  0.6272  0.4468
O  0.7156  0.1704  0.9482
O  0.8147  0.0240  0.6977
V  0.0001  0.0000  0.0001
O  0.3151  0.5234  0.1977
O  0.1320  0.1710  0.4876
O  0.2443  0.1271  0.9472
O  0.3737  0.8981  0.7204
Cr  0.9998  0.0000  0.5000
Li  0.9532  0.3028  0.8758
Li  0.4541  0.8023  0.3739
O  0.2556  0.3728  0.5531

---

Record 4
This record from the Materials Project describes an optimized crystal structure of LiVCrP2H2O10. The functional is GGA+U.

energy with MP2020 corrections: -7.564 eV per atom
ΔH_f (0 K): -2.402 eV/atom
space-group type: P-1, No. 2
raw total energy: -6.94 eV per atom
distance to the lowest polymorph of the same formula: 2.9 meV per atom

a b c (Å): 5.3098 7.3648 10.3706
angles (deg): 105.45 96.98 110.17
Sites, in units of the cell vectors:
Cr  0.2513  0.2555  0.2522
O  0.1313  0.7900  0.4394
Cr  0.7487  0.7445  0.7478
O  0.9130  0.2393  0.1316
O  0.8910  0.6970  0.0749
O  0.7164  0.9690  0.8948
H  0.0384  0.0988  0.7538
V  0.5000  0.5000  0.0000
O  0.3804  0.7236  0.0640
O  0.2836  0.0310  0.1052
O  0.8687  0.2100  0.5606
H  0.5654  0.5963  0.2567
O  0.0121  0.9659  0.6870
O  0.6196  0.2764  0.9360
Li  0.3459  0.9331  0.7822
O  0.0870  0.7607  0.8684
P  0.3516  0.7023  0.4742
H  0.4346  0.4037  0.7433
P  0.1519  0.7998  0.0239
O  0.9879  0.0341  0.3130
O  0.4319  0.7616  0.6321
Li  0.6541  0.0669  0.2178
P  0.8481  0.2002  0.9761
O  0.3912  0.1993  0.5821
V  0.0000  0.0000  0.5000
O  0.7723  0.5286  0.5964
O  0.5087  0.5357  0.8200
O  0.1090  0.3030  0.9251
P  0.6484  0.2977  0.5258
O  0.6088  0.8007  0.4179
O  0.2277  0.4714  0.4036
O  0.4913  0.4643  0.1800
H  0.9616  0.9012  0.2462
O  0.5681  0.2384  0.3679

---

Record 5
This record from the Materials Project describes an optimized crystal structure of Li2VCrP2H2O10. The functional is GGA+U.

energy with MP2020 corrections: -7.448 eV per atom
ΔH_f (0 K): -2.468 eV/atom
space-group type: P-1, No. 2
raw total energy: -6.86 eV per atom
distance to the lowest polymorph of the same formula: 0.0 meV per atom

a b c (Å): 5.4269 7.3967 5.1659
angles (deg): 109.03 97.89 106.65
Sites, in units of the cell vectors:
O  0.3371  0.1193  0.8857
P  0.3582  0.2305  0.6747
O  0.6553  0.3409  0.6958
Li  0.6029  0.1766  0.2527
Cr  0.0000  0.0000  0.0000
O  0.7500  0.9310  0.6332
Li  0.3971  0.8234  0.7473
O  0.6629  0.8807  0.1143
H  0.9396  0.6626  0.6397
V  0.0000  0.5000  0.0000
O  0.3447  0.6591  0.3042
O  0.2051  0.3802  0.7242
O  0.9498  0.2725  0.1622
O  0.7949  0.6198  0.2758
P  0.6418  0.7695  0.3253
O  0.2500  0.0690  0.3668
H  0.0604  0.3374  0.3603
O  0.0502  0.7275  0.8378

---

Record 6
This record from the Materials Project describes an optimized crystal structure of LiVCrP2H2O10. The functional is GGA+U.

energy with MP2020 corrections: -7.561 eV per atom
ΔH_f (0 K): -2.400 eV/atom
space-group type: P-1, No. 2
raw total energy: -6.94 eV per atom
distance to the lowest polymorph of the same formula: 5.3 meV per atom

a b c (Å): 5.2082 7.3677 10.4712
angles (deg): 104.87 96.63 109.77
Sites, in units of the cell vectors:
O  0.2471  0.9505  0.8788
Cr  0.0000  0.0000  0.0000
H  0.1643  0.1756  0.5132
O  0.7529  0.0495  0.1212
V  0.0000  0.5000  0.0000
O  0.6379  0.2821  0.9039
H  0.6768  0.6852  0.0319
H  0.8357  0.8244  0.4868
Li  0.4244  0.3523  0.2076
Cr  0.5000  0.5000  0.5000
O  0.7758  0.5395  0.6662
O  0.7433  0.4448  0.3736
O  0.2887  0.0547  0.1630
O  0.3442  0.2035  0.4847
O  0.8774  0.2152  0.5941
O  0.2242  0.4605  0.3338
P  0.9972  0.4459  0.6753
O  0.8833  0.5178  0.1716
O  0.1226  0.7848  0.4059
O  0.1771  0.3036  0.0216
O  0.8229  0.6964  0.9784
O  0.1167  0.4822  0.8284
Li  0.5756  0.6477  0.7924
P  0.0028  0.5541  0.3247
O  0.6558  0.7965  0.5153
V  0.5000  0.0000  0.5000
H  0.3232  0.3148  0.9681
P  0.5012  0.9536  0.1765
O  0.6003  0.9795  0.3275
O  0.3997  0.0205  0.6725
O  0.3621  0.7179  0.0961
P  0.4988  0.0464  0.8235
O  0.7113  0.9453  0.8370
O  0.2567  0.5552  0.6264

---

Record 7
This record from the Materials Project describes an optimized crystal structure of LiVCrP2H2O10. The functional is GGA+U.

energy with MP2020 corrections: -7.563 eV per atom
ΔH_f (0 K): -2.402 eV/atom
space-group type: P1, No. 1
raw total energy: -6.94 eV per atom
distance to the lowest polymorph of the same formula: 3.0 meV per atom

a b c (Å): 5.2009 7.3625 19.3316
angles (deg): 94.07 89.36 105.52
Sites, in units of the cell vectors:
P  0.1701  0.4892  0.2810
P  0.3304  0.0111  0.2184
O  0.1396  0.4136  0.2030
V  0.6208  0.6191  0.8750
Li  0.7875  0.0117  0.1395
Cr  0.5023  0.5021  0.4994
O  0.0350  0.9287  0.1984
H  0.1580  0.5111  0.8265
Li  0.2124  0.9889  0.8600
O  0.7472  0.1136  0.9561
O  0.9668  0.0712  0.8005
P  0.5827  0.2549  0.9683
O  0.1065  0.8344  0.5466
H  0.3304  0.9757  0.6784
Cr  0.0004  0.9999  0.9998
O  0.5404  0.8290  0.8289
O  0.3609  0.0869  0.2968
O  0.0061  0.6341  0.2941
O  0.2997  0.5744  0.0763
O  0.7095  0.8354  0.0540
H  0.4084  0.7610  0.5766
O  0.0381  0.3283  0.3289
O  0.4651  0.5717  0.3015
O  0.6085  0.3315  0.0467
V  0.8709  0.8694  0.6249
H  0.6572  0.0095  0.3271
O  0.3922  0.6693  0.9530
O  0.4939  0.8658  0.2059
O  0.8097  0.9532  0.3278
O  0.7007  0.4259  0.9234
O  0.8563  0.5844  0.7966
O  0.2167  0.3212  0.5505
P  0.0831  0.7560  0.4686
O  0.9524  0.6768  0.6734
O  0.6913  0.5467  0.1720
H  0.8435  0.4902  0.1729
O  0.5610  0.7049  0.5772
O  0.2908  0.1649  0.9459
P  0.4179  0.7457  0.0311
H  0.9222  0.2761  0.0709
O  0.5418  0.4156  0.6953
O  0.9542  0.7999  0.9187
O  0.0471  0.2004  0.0811
O  0.4624  0.1717  0.1708
O  0.7901  0.0789  0.5789
Cr  0.2522  0.2521  0.7494
H  0.5799  0.2254  0.4284
Cr  0.7504  0.7499  0.2498
O  0.9949  0.3630  0.7069
O  0.7920  0.6654  0.4453
P  0.6706  0.9903  0.7812
P  0.8329  0.5062  0.7186
O  0.2028  0.9266  0.4234
O  0.3104  0.4549  0.8273
H  0.0789  0.7240  0.9289
O  0.7553  0.3840  0.5448
O  0.2448  0.6127  0.4569
V  0.3804  0.3817  0.1240
O  0.4546  0.3011  0.4184
O  0.2531  0.8866  0.0440
V  0.1205  0.1190  0.3750
O  0.5050  0.1339  0.7948
Li  0.7133  0.4883  0.3598
O  0.6369  0.9166  0.7027
Li  0.4631  0.2391  0.6097
P  0.9206  0.2403  0.5312
O  0.8865  0.1664  0.4528
O  0.2052  0.0513  0.6682

---

Record 8
This record from the Materials Project describes an optimized crystal structure of Li2VCrP2H2O10. The functional is GGA+U.

energy with MP2020 corrections: -7.447 eV per atom
ΔH_f (0 K): -2.467 eV/atom
space-group type: P1, No. 1
raw total energy: -6.86 eV per atom
distance to the lowest polymorph of the same formula: 1.2 meV per atom

a b c (Å): 5.4270 7.4525 14.4585
angles (deg): 95.19 92.58 110.49
Sites, in units of the cell vectors:
O  0.7025  0.0424  0.9221
H  0.0467  0.9883  0.3259
V  0.6657  0.6665  0.1669
H  0.6196  0.6780  0.3411
O  0.1967  0.5396  0.8814
O  0.0427  0.8389  0.2185
O  0.8050  0.4606  0.1185
O  0.0809  0.8261  0.9006
P  0.6876  0.0481  0.8141
O  0.3760  0.1721  0.5522
O  0.4144  0.1637  0.2342
P  0.3543  0.7122  0.4814
P  0.6454  0.2878  0.5189
O  0.7180  0.7620  0.0379
O  0.3702  0.7074  0.5894
O  0.7466  0.4972  0.5676
O  0.6182  0.5693  0.2959
V  0.0000  0.9998  0.9995
Cr  0.3338  0.3337  0.3335
O  0.1377  0.7921  0.4518
O  0.8622  0.2080  0.5485
H  0.9535  0.0115  0.6743
Li  0.9324  0.5350  0.3590
Li  0.5995  0.2025  0.0251
Cr  0.3344  0.3334  0.8330
O  0.0370  0.3754  0.2564
O  0.6297  0.2923  0.4109
O  0.9498  0.9024  0.6289
V  0.9999  0.9999  0.5001
O  0.5285  0.8739  0.2159
O  0.9601  0.1630  0.7816
O  0.2988  0.9591  0.0776
P  0.9790  0.6173  0.8513
O  0.9182  0.1716  0.0995
Cr  0.6662  0.6666  0.6669
O  0.2853  0.2384  0.9608
O  0.5872  0.8385  0.7655
P  0.3131  0.9542  0.1857
O  0.2526  0.5027  0.4327
O  0.0496  0.0972  0.3713
O  0.2901  0.4952  0.1149
H  0.2882  0.3477  0.0060
Li  0.7343  0.1321  0.3083
Li  0.4005  0.7975  0.9740
Li  0.2657  0.8683  0.6922
O  0.9621  0.6236  0.7436
H  0.7095  0.6529  0.9917
O  0.4700  0.1258  0.7841
P  0.0205  0.3804  0.1486
O  0.7071  0.5031  0.8848
O  0.6236  0.8279  0.4480
O  0.3803  0.4305  0.7053
H  0.3818  0.3215  0.6608
Li  0.0674  0.4646  0.6413

---

Record 9
This record from the Materials Project describes an optimized crystal structure of Li2VCrP2H2O10. The functional is GGA+U.

energy with MP2020 corrections: -7.437 eV per atom
ΔH_f (0 K): -2.456 eV/atom
space-group type: P-1, No. 2
raw total energy: -6.85 eV per atom
distance to the lowest polymorph of the same formula: 11.3 meV per atom

a b c (Å): 5.4200 7.3740 14.3088
angles (deg): 86.61 84.81 106.29
Sites, in units of the cell vectors:
O  0.3780  0.1576  0.9621
O  0.7050  0.5275  0.0908
Li  0.4822  0.9066  0.9156
Li  0.8160  0.2409  0.5825
O  0.6220  0.8424  0.0379
H  0.7278  0.4494  0.2136
O  0.4383  0.1139  0.6127
O  0.9602  0.1384  0.2422
O  0.9573  0.1758  0.7038
O  0.0398  0.8616  0.7578
Cr  0.0000  0.5000  0.0000
P  0.8653  0.9939  0.7741
P  0.1347  0.0061  0.2259
P  0.5308  0.6588  0.1078
H  0.2722  0.5506  0.7864
O  0.7716  0.4475  0.2793
O  0.5777  0.8898  0.7683
H  0.3940  0.1157  0.5471
P  0.8003  0.6726  0.5583
O  0.3736  0.1951  0.4247
O  0.7934  0.6149  0.4560
O  0.0427  0.8242  0.2962
O  0.0880  0.7763  0.5643
O  0.4223  0.1102  0.2317
O  0.8707  0.0508  0.8764
O  0.2904  0.5093  0.3712
O  0.1011  0.7762  0.9462
O  0.1293  0.9492  0.1236
O  0.2950  0.4725  0.9092
Li  0.1840  0.7591  0.4175
O  0.4625  0.2831  0.7898
Cr  0.6662  0.6666  0.3333
H  0.0612  0.7788  0.8800
Li  0.8511  0.4257  0.7510
Li  0.5178  0.0934  0.0844
V  0.0000  0.0000  0.0000
O  0.2066  0.3851  0.5440
O  0.7096  0.4907  0.6288
H  0.6060  0.8843  0.4529
O  0.7585  0.4430  0.8981
H  0.9388  0.2212  0.1200
V  0.6672  0.1670  0.3335
P  0.1997  0.3274  0.4417
Li  0.1489  0.5743  0.2490
O  0.6264  0.8049  0.5753
O  0.2284  0.5525  0.7207
O  0.5375  0.7169  0.2102
P  0.4692  0.3412  0.8922
O  0.9120  0.2237  0.4357
V  0.3328  0.8330  0.6665
Cr  0.3338  0.3334  0.6667
O  0.2415  0.5570  0.1019
O  0.8989  0.2238  0.0538
O  0.5617  0.8861  0.3873